1.
The following is a DFT calculation (r²SCAN) of AgSbF6 after structural relaxation.

a = 8.385 Å, b = 8.385 Å, c = 8.385 Å
α = 109.47°, β = 109.47°, γ = 109.47°
Atoms (fractional coordinates):
F (0.031, 0.584, 0.323)
F (0.738, 0.915, 0.947)
F (0.415, 0.677, 0.969)
F (0.469, 0.792, 0.553)
F (0.085, 0.053, 0.261)
F (0.708, 0.177, 0.761)
F (0.323, 0.031, 0.584)
F (0.208, 0.447, 0.531)
F (0.447, 0.531, 0.208)
F (0.585, 0.323, 0.031)
F (0.531, 0.208, 0.447)
F (0.823, 0.238, 0.292)
F (0.292, 0.823, 0.239)
F (0.915, 0.947, 0.739)
F (0.947, 0.739, 0.915)
F (0.262, 0.085, 0.053)
F (0.053, 0.261, 0.085)
F (0.761, 0.708, 0.177)
F (0.969, 0.416, 0.677)
F (0.177, 0.762, 0.708)
F (0.239, 0.292, 0.823)
F (0.553, 0.469, 0.792)
F (0.792, 0.553, 0.469)
F (0.677, 0.969, 0.416)
Sb (0.000, 0.500, 0.500)
Sb (0.500, 0.500, 0.000)
Sb (0.000, 0.000, 0.000)
Sb (0.500, 0.000, 0.500)
Ag (0.000, 0.500, 0.000)
Ag (0.500, 0.000, 0.000)
Ag (0.000, 0.000, 0.500)
Ag (0.500, 0.500, 0.500)

Output
The space group is Ia-3 (206). The calculation puts the total magnetic moment at 0.000 μB/f.u. The value obtained for the total energy is -10.44 eV/atom.

=====

2.
The following is a DFT calculation (r²SCAN) of Cu7PSe6 after structural relaxation.

a = 7.118 Å, b = 10.063 Å, c = 14.341 Å
α = 90.00°, β = 90.00°, γ = 90.00°
Atoms (fractional coordinates):
Cu (0.925, 0.584, 0.040)
Cu (0.558, 0.923, 0.056)
Cu (0.980, 0.862, 0.149)
Cu (0.020, 0.362, 0.851)
Cu (0.415, 0.046, 0.766)
Cu (0.191, 0.772, 0.620)
Cu (0.520, 0.862, 0.649)
Cu (0.575, 0.584, 0.540)
Cu (0.942, 0.923, 0.556)
Cu (0.585, 0.546, 0.234)
Cu (0.425, 0.084, 0.460)
Cu (0.075, 0.084, 0.960)
Cu (0.457, 0.007, 0.234)
Cu (0.480, 0.362, 0.351)
Cu (0.279, 0.245, 0.213)
Cu (0.915, 0.546, 0.734)
Cu (0.691, 0.272, 0.880)
Cu (0.957, 0.507, 0.266)
Cu (0.721, 0.745, 0.787)
Cu (0.058, 0.423, 0.444)
Cu (0.085, 0.046, 0.266)
Cu (0.779, 0.745, 0.287)
Cu (0.043, 0.007, 0.734)
Cu (0.309, 0.772, 0.120)
Cu (0.221, 0.245, 0.713)
Cu (0.809, 0.272, 0.380)
Cu (0.543, 0.507, 0.766)
Cu (0.442, 0.423, 0.944)
P (0.252, 0.753, 0.374)
P (0.748, 0.253, 0.626)
P (0.752, 0.253, 0.126)
P (0.248, 0.753, 0.874)
Se (0.253, 0.625, 0.248)
Se (0.494, 0.378, 0.628)
Se (0.751, 0.116, 0.004)
Se (0.266, 0.007, 0.611)
Se (0.006, 0.378, 0.128)
Se (0.247, 0.625, 0.748)
Se (0.249, 0.616, 0.996)
Se (0.506, 0.878, 0.372)
Se (0.507, 0.876, 0.880)
Se (0.753, 0.125, 0.252)
Se (0.993, 0.876, 0.380)
Se (0.251, 0.616, 0.496)
Se (0.994, 0.878, 0.872)
Se (0.747, 0.125, 0.752)
Se (0.734, 0.507, 0.389)
Se (0.749, 0.116, 0.504)
Se (0.234, 0.007, 0.111)
Se (0.493, 0.376, 0.120)
Se (0.717, 0.731, 0.122)
Se (0.283, 0.231, 0.878)
Se (0.783, 0.731, 0.622)
Se (0.217, 0.231, 0.378)
Se (0.007, 0.376, 0.620)
Se (0.766, 0.507, 0.889)

Output
The space group is Pna2_1 (33). The calculation puts the total magnetic moment at 0.000 μB/f.u. The value obtained for the total energy is -12.33 eV/atom.

=====

no.,energy of formation (kJ per mole of atoms)
1,-213.3
2,-12.4